(1)
Crystalline Ba2CaV2Si4O14 at its relaxed geometry, computed with PBE with a Hubbard U.

abc: 5.573 7.445 8.229
angles: 87.63 109.76 89.96
Fractional positions:
Ba 0.803 0.758 0.582
Ba 0.219 0.242 0.416
Ca 0.077 0.500 0.999
V 0.111 0.793 0.218
V 0.894 0.206 0.782
Si 0.429 0.522 0.789
Si 0.639 0.478 0.211
Si 0.405 0.962 0.794
Si 0.610 0.038 0.205
O 0.145 0.438 0.730
O 0.412 0.561 0.269
O 0.115 0.042 0.699
O 0.416 0.957 0.301
O 0.545 0.500 0.000
O 0.507 0.000 0.000
O 0.994 0.784 0.985
O 0.010 0.216 0.015
O 0.392 0.744 0.742
O 0.648 0.256 0.257
O 0.636 0.439 0.711
O 0.923 0.561 0.290
O 0.589 0.048 0.695
O 0.894 0.952 0.305

SG: P1
E_tot in eV/atom: -7.48
Total magnetic moment in μB per formula unit: 4.00
Calculated density in Mg/m³: 3.89

***

(2)
Crystalline Li4Cr3NiO8 at its relaxed geometry, computed with PBE with a Hubbard U.

abc: 5.926 8.321 5.911
angles: 90.01 90.08 89.45
Fractional positions:
Li 0.002 0.502 0.998
Li 0.498 0.998 0.502
Li 0.750 0.750 0.250
Li 0.250 0.250 0.750
Li 0.498 0.999 0.998
Li 0.002 0.501 0.502
Li 0.250 0.250 0.250
Li 0.750 0.750 0.750
Cr 0.250 0.750 0.750
Cr 0.250 0.750 0.250
Cr 0.750 0.250 0.750
Cr 0.750 0.250 0.250
Cr 0.498 0.501 0.997
Cr 0.002 0.999 0.503
Ni 0.001 0.999 0.000
Ni 0.499 0.501 0.500
O 0.516 0.256 0.002
O 0.013 0.756 0.499
O 0.486 0.744 0.001
O 0.984 0.244 0.498
O 0.266 0.507 0.244
O 0.765 0.008 0.745
O 0.016 0.757 0.001
O 0.523 0.255 0.492
O 0.761 0.018 0.260
O 0.261 0.506 0.759
O 0.234 0.993 0.256
O 0.734 0.492 0.755
O 0.484 0.743 0.499
O 0.977 0.245 0.008
O 0.739 0.482 0.240
O 0.239 0.994 0.741

SG: P-1
E_tot in eV/atom: -6.39
Total magnetic moment in μB per formula unit: 0.00
Calculated density in Mg/m³: 4.22

***

(3)
Crystalline KWNClF5 at its relaxed geometry, computed with PBE with a Hubbard U.

abc: 7.922 7.932 11.612
angles: 80.35 90.00 90.00
Fractional positions:
K 0.567 0.238 0.603
K 0.433 0.762 0.397
K 0.933 0.738 0.603
K 0.067 0.262 0.397
W 0.483 0.662 0.736
W 0.017 0.162 0.736
W 0.517 0.338 0.264
W 0.983 0.838 0.264
N 0.111 0.219 0.863
N 0.889 0.781 0.137
N 0.389 0.719 0.863
N 0.611 0.281 0.137
Cl 0.321 0.773 0.982
Cl 0.179 0.273 0.982
Cl 0.821 0.727 0.018
Cl 0.679 0.227 0.018
F 0.046 0.916 0.776
F 0.965 0.393 0.655
F 0.954 0.084 0.224
F 0.035 0.607 0.345
F 0.212 0.855 0.204
F 0.282 0.673 0.637
F 0.454 0.416 0.776
F 0.546 0.584 0.224
F 0.788 0.145 0.796
F 0.465 0.107 0.345
F 0.100 0.903 0.407
F 0.712 0.645 0.796
F 0.400 0.403 0.407
F 0.718 0.327 0.363
F 0.900 0.097 0.593
F 0.600 0.597 0.593
F 0.288 0.355 0.204
F 0.535 0.893 0.655
F 0.782 0.827 0.363
F 0.218 0.173 0.637

SG: P2_1/c
E_tot in eV/atom: -5.15
Total magnetic moment in μB per formula unit: 0.00
Calculated density in Mg/m³: 3.39

***

(4)
Crystalline Ba4CaNd3Co8O22 at its relaxed geometry, computed with PBE with a Hubbard U.

abc: 11.043 8.861 8.660
angles: 78.13 51.74 50.12
Fractional positions:
Ba 0.627 0.124 0.876
Ba 0.124 0.627 0.373
Ba 0.374 0.874 0.126
Ba 0.874 0.374 0.626
Ca 0.868 0.868 0.132
Nd 0.367 0.367 0.633
Nd 0.636 0.636 0.364
Nd 0.134 0.134 0.866
Co 0.126 0.872 0.630
Co 0.628 0.370 0.128
Co 0.872 0.126 0.372
Co 0.370 0.628 0.874
Co 0.379 0.124 0.374
Co 0.877 0.626 0.876
Co 0.124 0.379 0.123
Co 0.626 0.877 0.621
O 0.405 0.596 0.404
O 0.904 0.099 0.901
O 0.596 0.405 0.595
O 0.099 0.904 0.096
O 0.529 0.243 0.262
O 0.034 0.738 0.757
O 0.966 0.261 0.240
O 0.467 0.760 0.739
O 0.760 0.467 0.034
O 0.261 0.966 0.533
O 0.738 0.034 0.471
O 0.243 0.529 0.966
O 0.000 0.000 0.500
O 0.500 0.500 0.000
O 0.135 0.366 0.634
O 0.633 0.863 0.137
O 0.366 0.135 0.865
O 0.863 0.633 0.367
O 0.493 0.003 0.507
O 0.003 0.493 0.997
O 0.750 0.750 0.750
O 0.250 0.250 0.250

SG: Fmm2
E_tot in eV/atom: -6.48
Total magnetic moment in μB per formula unit: 25.03
Calculated density in Mg/m³: 6.33

***

(5)
Crystalline NaNi4F10 at its relaxed geometry, computed with PBE with a Hubbard U.

abc: 3.984 8.362 6.602
angles: 90.00 89.43 90.00
Fractional positions:
Na 0.500 0.734 0.500
Ni 0.000 0.221 0.000
Ni 0.000 0.058 0.500
Ni 0.500 0.522 0.000
Ni 0.500 0.345 0.500
F 0.000 0.304 0.500
F 0.487 0.513 0.299
F 0.013 0.065 0.210
F 0.500 0.105 0.500
F 0.500 0.269 0.000
F 0.500 0.740 0.000
F 0.987 0.065 0.790
F 0.513 0.513 0.701
F 0.000 0.462 0.000
F 0.000 0.834 0.500

SG: P2
E_tot in eV/atom: -4.07
Total magnetic moment in μB per formula unit: 9.00
Calculated density in Mg/m³: 3.38